No. 1
DFT (GGA+U) results for a relaxed Dy2WO6 crystal.

Cell lengths 5.595, 16.100, 10.663 Å; angles 90.00, 90.00, 90.00 degrees
Space group Pbca (No. 61)
One atom of each set of equivalent atoms:
Dy  0.046  0.229  0.144 x8
Dy  0.099  0.062  0.358 x8
W  0.111  0.120  0.878 x8
O  0.077  0.021  0.788 x8
O  0.093  0.607  0.487 x8
O  0.117  0.574  0.957 x8
O  0.164  0.671  0.732 x8
O  0.175  0.233  0.941 x8
O  0.180  0.647  0.230 x8

The offset from the most stable computed form is 1.4 kJ/mol of formula units. As for the energy of formation: -3.312 eV/atom. The crystal system is orthorhombic. As for the total energy after the MP2020 corrections: -9.07 eV per atom.


No. 2
DFT (GGA+U) results for a relaxed MgMo4O10 crystal.

Cell lengths 3.988, 4.018, 13.152 Å; angles 90.04, 90.04, 90.26 degrees
Space group P1 (No. 1)
One atom of each set of equivalent atoms:
Mg  0.000  0.000  0.000 x1
Mo  0.399  0.340  0.356 x1
Mo  0.400  0.340  0.645 x1
Mo  0.498  0.850  0.834 x1
Mo  0.499  0.849  0.166 x1
O  0.463  0.838  0.328 x1
O  0.463  0.838  0.672 x1
O  0.477  0.338  0.195 x1
O  0.479  0.340  0.805 x1
O  0.488  0.331  0.500 x1
O  0.500  0.964  0.000 x1
O  0.958  0.338  0.349 x1
O  0.959  0.338  0.651 x1
O  0.993  0.820  0.140 x1
O  0.993  0.826  0.859 x1

As for the energy of formation: -1.991 eV/atom. The crystal system is triclinic. As for the total energy after the MP2020 corrections: -8.29 eV per atom.


No. 3
DFT (GGA+U) results for a relaxed Co2AsHO5 crystal.

Cell lengths 8.411, 8.673, 6.154 Å; angles 90.00, 90.00, 90.00 degrees
Space group Pnnm (No. 58)
One atom of each set of equivalent atoms:
Co  0.000  0.000  0.245 x4
Co  0.136  0.373  0.000 x4
As  0.250  0.245  0.500 x4
H  0.218  0.095  0.000 x4
O  0.073  0.144  0.500 x4
O  0.102  0.606  0.000 x4
O  0.107  0.130  0.000 x4
O  0.229  0.863  0.225 x8

As for the energy of formation: -1.514 eV/atom. The crystal system is orthorhombic. As for the total energy after the MP2020 corrections: -6.74 eV per atom.


No. 4
DFT (GGA+U) results for a relaxed MgNi4O8 crystal.

Cell lengths 5.677, 5.704, 8.383 Å; angles 90.00, 90.00, 90.00 degrees
Space group Imm2 (No. 44)
One atom of each set of equivalent atoms:
Mg  0.000  0.000  0.000 x2
Ni  0.000  0.247  0.612 x4
Ni  0.246  0.000  0.365 x4
O  0.000  0.214  0.363 x4
O  0.000  0.279  0.862 x4
O  0.222  0.000  0.586 x4
O  0.222  0.500  0.638 x4

The offset from the most stable computed form is 92.6 kJ/mol of formula units. As for the energy of formation: -1.113 eV/atom. The crystal system is orthorhombic. As for the total energy after the MP2020 corrections: -6.06 eV per atom.


No. 5
DFT (GGA+U) results for a relaxed Mn7F18 crystal.

Cell lengths 7.232, 7.578, 7.991 Å; angles 93.21, 93.86, 115.91 degrees
Space group P-1 (No. 2)
One atom of each set of equivalent atoms:
Mn  0.000  0.000  0.000 x1
Mn  0.177  0.385  0.702 x2
Mn  0.204  0.885  0.687 x2
Mn  0.388  0.276  0.378 x2
F  0.070  0.249  0.904 x2
F  0.075  0.769  0.434 x2
F  0.089  0.139  0.259 x2
F  0.117  0.616  0.749 x2
F  0.252  0.011  0.943 x2
F  0.276  0.158  0.611 x2
F  0.312  0.493  0.494 x2
F  0.446  0.537  0.805 x2
F  0.484  0.908  0.666 x2

As for the energy of formation: -2.796 eV/atom. The crystal system is triclinic. As for the total energy after the MP2020 corrections: -6.74 eV per atom.


No. 6
DFT (GGA+U) results for a relaxed Sr2MgNiRuO6 crystal.

Cell lengths 5.8366, 5.8366, 15.5334 Å; angles 90.00, 90.00, 120.00 degrees
Space group R3m (No. 160, hexagonal axes)
One atom of each set of equivalent atoms:
Sr  0.0000  0.0000  0.0000 x3
Sr  0.0000  0.0000  0.4266 x3
Mg  0.0000  0.0000  0.6541 x3
Ni  0.0000  0.0000  0.8145 x3
Ru  0.0000  0.0000  0.2131 x3
O  0.0274  0.5137  0.9587 x9
O  0.1773  0.3547  0.7939 x9

The offset from the most stable computed form is 0.0 kJ/mol of formula units. As for the energy of formation: -2.046 eV/atom. The crystal system is trigonal. As for the total energy after the MP2020 corrections: -6.57 eV per atom.


No. 7
DFT (GGA+U) results for a relaxed V3O5F crystal.

Cell lengths 5.529, 5.535, 7.244 Å; angles 70.95, 70.86, 73.68 degrees
Space group P1 (No. 1)
One atom of each set of equivalent atoms:
V  0.000  0.000  0.000 x1
V  0.002  0.012  0.506 x1
V  0.359  0.359  0.641 x1
V  0.366  0.377  0.155 x1
V  0.686  0.680  0.823 x1
V  0.719  0.659  0.327 x1
O  0.009  0.366  0.324 x1
O  0.065  0.659  0.647 x1
O  0.124  0.121  0.701 x1
O  0.309  0.714  0.999 x1
O  0.459  0.449  0.356 x1
O  0.580  0.572  0.632 x1
O  0.658  0.060  0.651 x1
O  0.709  0.302  0.003 x1
O  0.789  0.779  0.021 x1
O  0.931  0.921  0.288 x1
F  0.254  0.250  0.958 x1
F  0.395  0.981  0.325 x1

The offset from the most stable computed form is 31.3 kJ/mol of formula units. As for the energy of formation: -2.569 eV/atom. The crystal system is triclinic. As for the total energy after the MP2020 corrections: -8.56 eV per atom.


No. 8
DFT (GGA+U) results for a relaxed CaFeSiO5 crystal.

Cell lengths 5.522, 5.525, 6.977 Å; angles 103.81, 104.09, 106.61 degrees
Space group P-1 (No. 2)
One atom of each set of equivalent atoms:
Ca  0.171  0.332  0.249 x2
Fe  0.500  0.000  0.000 x1
Fe  0.500  0.000  0.500 x1
Si  0.181  0.318  0.750 x2
O  0.123  0.746  0.410 x2
O  0.182  0.110  0.885 x2
O  0.247  0.620  0.911 x2
O  0.386  0.317  0.614 x2
O  0.430  0.070  0.250 x2

As for the energy of formation: -2.625 eV/atom. The crystal system is triclinic. As for the total energy after the MP2020 corrections: -7.71 eV per atom.